Record 1
{
  "formula": "V7W6O30",
  "functional": "GGA+U",
  "state": "optimized geometry",
  "lattice_angstrom": [[-3.166, 3.095, 2.748], [-5.139, -0.027, -0.949], [-3.031, -16.868, 15.754]],
  "species": ["O", "O", "O", "O", "O", "O", "O", "O", "O", "O", "O", "O", "O", "O", "O", "O", "O", "O", "O", "O", "O", "O", "O", "O", "O", "O", "O", "O", "O", "O", "V", "V", "V", "V", "V", "V", "V", "W", "W", "W", "W", "W", "W"],
  "fractional_positions": [[0.416, 0.617, 0.050], [0.730, 0.335, 0.152], [0.675, 0.336, 0.746], [0.991, 0.311, 0.249], [0.598, 0.971, 0.652], [0.590, 0.004, 0.055], [0.981, 0.424, 0.652], [0.078, 0.252, 0.451], [0.249, 0.669, 0.451], [0.969, 0.436, 0.053], [0.321, 0.936, 0.153], [0.402, 0.996, 0.951], [0.316, 0.004, 0.746], [0.927, 0.743, 0.153], [0.580, 0.403, 0.349], [0.922, 0.746, 0.549], [0.042, 0.559, 0.954], [0.283, 0.671, 0.844], [0.305, 0.698, 0.251], [0.753, 0.330, 0.549], [0.402, 0.026, 0.349], [0.676, 0.053, 0.842], [0.666, 0.080, 0.453], [0.049, 0.276, 0.845], [0.693, 0.994, 0.251], [0.419, 0.592, 0.650], [0.337, 0.918, 0.548], [0.592, 0.373, 0.951], [0.024, 0.572, 0.347], [0.988, 0.693, 0.747], [0.658, 0.662, 0.984], [0.344, 0.335, 0.009], [0.336, 0.339, 0.287], [0.674, 0.657, 0.717], [0.665, 0.670, 0.304], [0.331, 0.328, 0.700], [0.338, 0.320, 0.889], [0.997, 0.010, 0.204], [0.013, 0.992, 0.805], [0.336, 0.332, 0.406], [0.663, 0.665, 0.598], [0.000, 0.998, 0.502], [0.669, 0.672, 0.108]],
  "space_group": "P1",
  "corrected_energy_ev_per_cell": -386.55,
  "magmom_total_mub_per_atom": 0.256,
  "ef_ev_per_atom": -2.25,
  "energy_ry_per_atom": -0.560
}



Record 2
{
  "formula": "MgTiNiP3O12",
  "functional": "GGA+U",
  "state": "optimized geometry",
  "lattice_angstrom": [[7.338, -4.310, 0.000], [7.338, 4.310, 0.000], [4.805, 0.000, 7.023]],
  "species": ["P", "P", "P", "P", "P", "P", "O", "O", "O", "O", "O", "O", "O", "O", "O", "O", "O", "O", "O", "O", "O", "O", "O", "O", "O", "O", "O", "O", "O", "O", "Mg", "Mg", "Ni", "Ni", "Ti", "Ti"],
  "fractional_positions": [[0.457, 0.046, 0.749], [0.957, 0.249, 0.546], [0.249, 0.546, 0.957], [0.546, 0.957, 0.249], [0.749, 0.457, 0.046], [0.046, 0.749, 0.457], [0.411, 0.554, 0.759], [0.911, 0.259, 0.054], [0.880, 0.685, 0.505], [0.589, 0.442, 0.241], [0.809, 0.614, 0.013], [0.241, 0.589, 0.442], [0.554, 0.759, 0.411], [0.380, 0.005, 0.185], [0.505, 0.880, 0.685], [0.013, 0.809, 0.614], [0.054, 0.911, 0.259], [0.741, 0.942, 0.089], [0.005, 0.185, 0.380], [0.114, 0.309, 0.513], [0.259, 0.054, 0.911], [0.309, 0.513, 0.114], [0.185, 0.380, 0.005], [0.759, 0.411, 0.554], [0.442, 0.241, 0.589], [0.089, 0.741, 0.942], [0.513, 0.114, 0.309], [0.685, 0.505, 0.880], [0.614, 0.013, 0.809], [0.942, 0.089, 0.741], [0.496, 0.496, 0.496], [0.996, 0.996, 0.996], [0.857, 0.857, 0.857], [0.357, 0.357, 0.357], [0.144, 0.144, 0.144], [0.644, 0.644, 0.644]],
  "space_group": "R3c",
  "corrected_energy_ev_per_cell": -277.84,
  "magmom_total_mub_per_atom": 0.056,
  "ef_ev_per_atom": -2.67,
  "energy_ry_per_atom": -0.523
}



Record 3
{
  "formula": "Li5V18O44",
  "functional": "GGA+U",
  "state": "optimized geometry",
  "lattice_angstrom": [[-0.981, 2.716, -2.270], [-8.024, -5.671, -3.316], [-15.052, 6.200, 13.927]],
  "species": ["O", "O", "O", "O", "O", "O", "O", "O", "O", "O", "O", "O", "O", "O", "O", "O", "O", "O", "O", "O", "O", "O", "O", "O", "O", "O", "O", "O", "O", "O", "O", "O", "O", "O", "O", "O", "O", "O", "O", "O", "O", "O", "O", "O", "V", "V", "V", "V", "V", "V", "V", "V", "V", "V", "V", "V", "V", "V", "V", "V", "V", "V", "Li", "Li", "Li", "Li", "Li"],
  "fractional_positions": [[0.000, 0.786, 0.988], [0.000, 0.926, 0.867], [0.000, 0.617, 0.092], [0.500, 0.846, 0.668], [0.500, 0.215, 0.012], [0.500, 0.075, 0.133], [0.000, 0.255, 0.736], [0.500, 0.192, 0.436], [0.000, 0.582, 0.300], [0.000, 0.785, 0.763], [0.000, 0.958, 0.252], [0.500, 0.217, 0.236], [0.000, 0.498, 0.789], [0.000, 0.640, 0.479], [0.000, 0.787, 0.354], [0.000, 0.001, 0.653], [0.500, 0.213, 0.643], [0.500, 0.830, 0.081], [0.000, 0.431, 0.612], [0.500, 0.577, 0.993], [0.500, 0.570, 0.387], [0.500, 0.596, 0.575], [0.000, 0.635, 0.896], [0.500, 0.008, 0.956], [0.000, 0.788, 0.172], [0.500, 0.365, 0.104], [0.500, 0.043, 0.746], [0.500, 0.053, 0.558], [0.500, 0.211, 0.828], [0.500, 0.001, 0.344], [0.000, 0.406, 0.425], [0.000, 0.423, 0.007], [0.000, 0.945, 0.440], [0.500, 0.383, 0.908], [0.500, 0.502, 0.211], [0.000, 0.990, 0.044], [0.000, 0.155, 0.333], [0.000, 0.639, 0.668], [0.500, 0.362, 0.332], [0.000, 0.814, 0.565], [0.500, 0.744, 0.263], [0.000, 0.170, 0.919], [0.500, 0.363, 0.521], [0.500, 0.413, 0.699], [0.000, 0.804, 0.685], [0.500, 0.044, 0.636], [0.500, 0.030, 0.062], [0.000, 0.780, 0.087], [0.000, 0.957, 0.363], [0.500, 0.352, 0.429], [0.500, 0.546, 0.283], [0.000, 0.454, 0.718], [0.000, 0.605, 0.404], [0.500, 0.399, 0.596], [0.000, 0.795, 0.254], [0.000, 0.619, 0.974], [0.000, 0.652, 0.571], [0.500, 0.382, 0.026], [0.500, 0.221, 0.914], [0.500, 0.206, 0.746], [0.000, 0.970, 0.938], [0.500, 0.196, 0.314], [0.000, 0.466, 0.161], [0.500, 0.894, 0.817], [0.000, 0.017, 0.516], [0.500, 0.534, 0.838], [0.000, 0.108, 0.182]],
  "space_group": "Pm",
  "corrected_energy_ev_per_cell": -549.40,
  "magmom_total_mub_per_atom": 0.104,
  "ef_ev_per_atom": -2.37,
  "energy_ry_per_atom": -0.536
}



Record 4
{
  "formula": "Mn3VP4O16",
  "functional": "GGA+U",
  "state": "optimized geometry",
  "lattice_angstrom": [[-2.705, -0.276, -5.352], [4.319, -0.977, -2.132], [-1.477, -9.753, 1.249]],
  "species": ["O", "O", "O", "O", "O", "O", "O", "O", "O", "O", "O", "O", "O", "O", "O", "O", "Mn", "Mn", "Mn", "P", "P", "P", "P", "V"],
  "fractional_positions": [[0.201, 0.766, 0.333], [0.806, 0.769, 0.828], [0.194, 0.769, 0.828], [0.000, 0.842, 0.556], [0.000, 0.218, 0.383], [0.707, 0.203, 0.669], [0.500, 0.160, 0.445], [0.500, 0.725, 0.126], [0.500, 0.359, 0.954], [0.701, 0.269, 0.175], [0.299, 0.269, 0.175], [0.000, 0.653, 0.053], [0.000, 0.305, 0.869], [0.799, 0.766, 0.333], [0.293, 0.203, 0.669], [0.500, 0.763, 0.605], [0.000, 0.428, 0.217], [0.500, 0.552, 0.779], [0.500, 0.932, 0.287], [0.500, 0.414, 0.104], [0.500, 0.068, 0.593], [0.000, 0.907, 0.402], [0.000, 0.610, 0.901], [0.000, 0.048, 0.719]],
  "space_group": "Pm",
  "corrected_energy_ev_per_cell": -197.25,
  "magmom_total_mub_per_atom": 0.583,
  "ef_ev_per_atom": -2.49,
  "energy_ry_per_atom": -0.550
}



Record 5
{
  "formula": "Li9Mn7O16",
  "functional": "GGA+U",
  "state": "optimized geometry",
  "lattice_angstrom": [[-2.939, -4.636, -8.665], [-2.448, -8.800, -4.666], [-5.171, 0.258, 0.902]],
  "species": ["Li", "Li", "Li", "Li", "Li", "Li", "Li", "Li", "Li", "O", "O", "O", "O", "O", "O", "O", "O", "O", "O", "O", "O", "O", "O", "O", "O", "Mn", "Mn", "Mn", "Mn", "Mn", "Mn", "Mn"],
  "fractional_positions": [[0.260, 0.740, 0.500], [0.500, 0.500, 0.000], [0.124, 0.124, 0.242], [0.000, 0.500, 0.000], [0.380, 0.380, 0.748], [0.876, 0.876, 0.758], [0.740, 0.260, 0.500], [0.500, 0.000, 0.000], [0.620, 0.620, 0.252], [0.824, 0.295, 0.116], [0.570, 0.570, 0.630], [0.940, 0.940, 0.333], [0.681, 0.681, 0.873], [0.056, 0.560, 0.611], [0.060, 0.060, 0.667], [0.944, 0.440, 0.389], [0.430, 0.430, 0.370], [0.705, 0.176, 0.884], [0.319, 0.319, 0.127], [0.180, 0.180, 0.865], [0.440, 0.944, 0.389], [0.176, 0.705, 0.884], [0.295, 0.824, 0.116], [0.560, 0.056, 0.611], [0.820, 0.820, 0.135], [0.750, 0.750, 0.499], [0.250, 0.250, 0.501], [0.868, 0.375, 0.766], [0.000, 0.000, 0.000], [0.375, 0.868, 0.766], [0.132, 0.625, 0.234], [0.625, 0.132, 0.234]],
  "space_group": "C2/m",
  "corrected_energy_ev_per_cell": -228.41,
  "magmom_total_mub_per_atom": 0.813,
  "ef_ev_per_atom": -2.12,
  "energy_ry_per_atom": -0.473
}



Record 6
{
  "formula": "NdWO5",
  "functional": "GGA+U",
  "state": "optimized geometry",
  "lattice_angstrom": [[-2.629, 12.925, 0.032], [-3.641, -0.731, -3.887], [-6.766, -1.382, 2.201]],
  "species": ["O", "O", "O", "O", "O", "O", "O", "O", "O", "O", "O", "O", "O", "O", "O", "O", "O", "O", "O", "O", "W", "W", "W", "W", "Nd", "Nd", "Nd", "Nd"],
  "fractional_positions": [[0.406, 0.454, 0.080], [0.933, 0.995, 0.336], [0.072, 0.312, 0.969], [0.359, 0.780, 0.560], [0.641, 0.220, 0.440], [0.141, 0.780, 0.060], [0.774, 0.796, 0.693], [0.567, 0.995, 0.836], [0.594, 0.546, 0.920], [0.067, 0.005, 0.664], [0.428, 0.312, 0.469], [0.906, 0.546, 0.420], [0.928, 0.688, 0.031], [0.274, 0.204, 0.807], [0.726, 0.796, 0.193], [0.859, 0.220, 0.940], [0.572, 0.688, 0.531], [0.433, 0.005, 0.164], [0.226, 0.204, 0.307], [0.094, 0.454, 0.580], [0.641, 0.877, 0.654], [0.859, 0.877, 0.154], [0.359, 0.123, 0.346], [0.141, 0.123, 0.846], [0.556, 0.631, 0.216], [0.444, 0.369, 0.784], [0.944, 0.631, 0.716], [0.056, 0.369, 0.284]],
  "space_group": "P2_1/c",
  "corrected_energy_ev_per_cell": -242.34,
  "magmom_total_mub_per_atom": 0.143,
  "ef_ev_per_atom": -2.59,
  "energy_ry_per_atom": -0.553
}



Record 7
{
  "formula": "K2Cr2O7",
  "functional": "GGA+U",
  "state": "optimized geometry",
  "lattice_angstrom": [[0.609, -0.959, -7.615], [6.676, -2.176, -3.159], [-1.868, -7.421, 0.515]],
  "species": ["Cr", "Cr", "Cr", "Cr", "O", "O", "O", "O", "O", "O", "O", "O", "O", "O", "O", "O", "O", "O", "K", "K", "K", "K"],
  "fractional_positions": [[0.426, 0.778, 0.137], [0.222, 0.574, 0.363], [0.778, 0.426, 0.637], [0.574, 0.222, 0.863], [0.569, 0.431, 0.750], [0.365, 0.958, 0.277], [0.863, 0.256, 0.485], [0.137, 0.744, 0.515], [0.256, 0.863, 0.985], [0.042, 0.635, 0.223], [0.635, 0.042, 0.723], [0.431, 0.569, 0.250], [0.298, 0.349, 0.447], [0.702, 0.651, 0.553], [0.744, 0.137, 0.015], [0.651, 0.702, 0.053], [0.958, 0.365, 0.777], [0.349, 0.298, 0.947], [0.295, 0.996, 0.644], [0.996, 0.295, 0.144], [0.004, 0.705, 0.856], [0.705, 0.004, 0.356]],
  "space_group": "C2/c",
  "corrected_energy_ev_per_cell": -154.75,
  "ef_ev_per_atom": -1.93,
  "energy_ry_per_atom": -0.458
}



Record 8
{
  "formula": "AlNiO3",
  "functional": "GGA+U",
  "state": "optimized geometry",
  "lattice_angstrom": [[-1.326, 1.849, 2.864], [1.650, -2.341, 2.275], [2.983, 2.116, 0.015]],
  "species": ["Ni", "O", "O", "O", "Al"],
  "fractional_positions": [[0.500, 0.500, 0.500], [0.000, 0.500, 0.000], [0.000, 0.000, 0.500], [0.500, 0.000, 0.000], [0.000, 0.000, 0.000]],
  "space_group": "Pm-3m",
  "corrected_energy_ev_per_cell": -31.30,
  "magmom_total_mub_per_atom": 0.600,
  "ef_ev_per_atom": -1.39,
  "energy_ry_per_atom": -0.392
}